# KGaF4

A relaxed KGaF4 crystal (r²SCAN, the Materials Project).

Output
Volume (A^3/atom): 14.503
SG: Pnma, No. 62
Crystal system: orthorhombic
Total magnetic moment (μB/f.u.): 0.000
Formation energy (eV/f.u.): -18.0

Structure (POSCAR):
```
KGaF4
1.0
12.131 0.000 0.000
0.000 7.490 0.000
0.000 0.000 7.661
K Ga F
8 8 32
direct
0.014 0.250 0.125 K
0.027 0.250 0.626 K
0.473 0.750 0.126 K
0.486 0.750 0.625 K
0.514 0.250 0.375 K
0.527 0.250 0.874 K
0.973 0.750 0.374 K
0.986 0.750 0.875 K
0.248 0.501 0.375 Ga
0.248 0.999 0.375 Ga
0.252 0.001 0.875 Ga
0.252 0.499 0.875 Ga
0.748 0.501 0.125 Ga
0.748 0.999 0.125 Ga
0.752 0.001 0.625 Ga
0.752 0.499 0.625 Ga
0.099 0.045 0.365 F
0.099 0.455 0.365 F
0.103 0.047 0.885 F
0.103 0.453 0.885 F
0.213 0.750 0.413 F
0.217 0.750 0.837 F
0.246 0.042 0.625 F
0.246 0.458 0.625 F
0.254 0.542 0.125 F
0.254 0.958 0.125 F
0.283 0.250 0.337 F
0.287 0.250 0.913 F
0.397 0.547 0.385 F
0.397 0.953 0.385 F
0.401 0.545 0.865 F
0.401 0.955 0.865 F
0.599 0.045 0.135 F
0.599 0.455 0.135 F
0.603 0.047 0.615 F
0.603 0.453 0.615 F
0.713 0.750 0.087 F
0.717 0.750 0.663 F
0.746 0.042 0.875 F
0.746 0.458 0.875 F
0.754 0.542 0.375 F
0.754 0.958 0.375 F
0.783 0.250 0.163 F
0.787 0.250 0.587 F
0.897 0.547 0.115 F
0.897 0.953 0.115 F
0.901 0.545 0.635 F
0.901 0.955 0.635 F
```